Record 1
# r²SCAN Y3Ga7Cu4, optimized geometry
data_Y3Ga7Cu4
_symmetry_space_group_name_H-M 'C 1 2/m 1'
_symmetry_Int_Tables_number 12
_cell_length_a 15.481
_cell_length_b 4.133
_cell_length_c 9.417
_cell_angle_alpha 90.00
_cell_angle_beta 127.37
_cell_angle_gamma 90.00
loop_
_symmetry_equiv_pos_as_xyz
'x,y,z'
'-x,-y,-z'
'-x,y,-z'
'x,-y,z'
'x+1/2,y+1/2,z'
'-x+1/2,-y+1/2,-z'
'-x+1/2,y+1/2,-z'
'x+1/2,-y+1/2,z'
loop_
_atom_site_label
_atom_site_fract_x
_atom_site_fract_y
_atom_site_fract_z
Y1 0.000 0.000 0.000
Y2 0.191 0.500 0.701
Ga1 0.000 0.000 0.500
Ga2 0.137 0.000 0.865
Ga3 0.138 0.000 0.417
Ga4 0.159 0.500 0.277
Cu1 0.004 0.500 0.298
Cu2 0.160 0.500 0.020
# - energy of formation from the pure elements (meV per atom) = -526



Record 2
# r²SCAN Ba2Mg17, optimized geometry
data_Ba2Mg17
_symmetry_space_group_name_H-M 'R -3 m'
_symmetry_Int_Tables_number 166
_symmetry_space_group_name_Hall '-R 3 2"'
_cell_length_a 10.6140
_cell_length_b 10.6140
_cell_length_c 15.4743
_cell_angle_alpha 90.00
_cell_angle_beta 90.00
_cell_angle_gamma 120.00
loop_
_atom_site_label
_atom_site_fract_x
_atom_site_fract_y
_atom_site_fract_z
Ba1 0.0000 0.0000 0.1617
Mg1 0.0000 0.0000 0.4028
Mg2 0.0000 0.2926 0.5000
Mg3 0.0000 0.5000 0.0000
Mg4 0.0004 0.5002 0.3464
# - energy of formation from the pure elements (meV per atom) = -55



Record 3
# r²SCAN Rb2Ta15O32, optimized geometry
data_Rb2Ta15O32
_symmetry_space_group_name_H-M 'R -3'
_symmetry_Int_Tables_number 148
_symmetry_space_group_name_Hall '-R 3'
_cell_length_a 7.8274
_cell_length_b 7.8274
_cell_length_c 35.9303
_cell_angle_alpha 90.00
_cell_angle_beta 90.00
_cell_angle_gamma 120.00
loop_
_atom_site_label
_atom_site_fract_x
_atom_site_fract_y
_atom_site_fract_z
Rb1 0.0000 0.0000 0.1402
Ta1 0.0000 0.0000 0.3621
Ta2 0.0000 0.0000 0.5000
Ta3 0.0219 0.8044 0.0320
Ta4 0.0655 0.8051 0.2345
O1 0.0000 0.0000 0.2638
O2 0.0008 0.7941 0.5323
O3 0.0263 0.7928 0.9340
O4 0.0585 0.8229 0.7897
O5 0.0624 0.8238 0.3943
O6 0.0730 0.8358 0.6668
# - energy of formation from the pure elements (meV per atom) = -2924



Record 4
# r²SCAN ScCu2Si2, optimized geometry
data_ScCu2Si2
_symmetry_space_group_name_H-M 'I 4/m m m'
_symmetry_Int_Tables_number 139
_symmetry_space_group_name_Hall '-I 4 2'
_cell_length_a 3.803
_cell_length_b 3.803
_cell_length_c 10.021
_cell_angle_alpha 90.00
_cell_angle_beta 90.00
_cell_angle_gamma 90.00
loop_
_atom_site_label
_atom_site_fract_x
_atom_site_fract_y
_atom_site_fract_z
Sc1 0.000 0.000 0.000
Cu1 0.000 0.500 0.250
Si1 0.000 0.000 0.386
# - energy of formation from the pure elements (meV per atom) = -523



Record 5
# r²SCAN Er3Sc2S7, optimized geometry
data_Er3Sc2S7
_symmetry_space_group_name_H-M 'C 1 2/m 1'
_symmetry_Int_Tables_number 12
_cell_length_a 12.356
_cell_length_b 3.701
_cell_length_c 11.302
_cell_angle_alpha 90.00
_cell_angle_beta 104.86
_cell_angle_gamma 90.00
loop_
_symmetry_equiv_pos_as_xyz
'x,y,z'
'-x,-y,-z'
'-x,y,-z'
'x,-y,z'
'x+1/2,y+1/2,z'
'-x+1/2,-y+1/2,-z'
'-x+1/2,y+1/2,-z'
'x+1/2,-y+1/2,z'
loop_
_atom_site_label
_atom_site_fract_x
_atom_site_fract_y
_atom_site_fract_z
Er1 0.000 0.000 0.000
Er2 0.197 0.500 0.802
Sc1 0.111 0.000 0.428
S1 0.000 0.500 0.500
S2 0.035 0.000 0.779
S3 0.161 0.500 0.053
S4 0.237 0.500 0.360
# - energy of formation from the pure elements (meV per atom) = -2292



Record 6
# r²SCAN Ce3In3Ru2, optimized geometry
data_Ce3In3Ru2
_symmetry_space_group_name_H-M 'C 1 2/m 1'
_symmetry_Int_Tables_number 12
_cell_length_a 16.510
_cell_length_b 4.879
_cell_length_c 4.919
_cell_angle_alpha 90.00
_cell_angle_beta 96.44
_cell_angle_gamma 90.00
loop_
_symmetry_equiv_pos_as_xyz
'x,y,z'
'-x,-y,-z'
'-x,y,-z'
'x,-y,z'
'x+1/2,y+1/2,z'
'-x+1/2,-y+1/2,-z'
'-x+1/2,y+1/2,-z'
'x+1/2,-y+1/2,z'
loop_
_atom_site_label
_atom_site_fract_x
_atom_site_fract_y
_atom_site_fract_z
Ce1 0.000 0.000 0.000
Ce2 0.173 0.000 0.568
In1 0.000 0.500 0.500
In2 0.133 0.500 0.035
Ru1 0.210 0.000 0.134
# - energy of formation from the pure elements (meV per atom) = -606



Record 7
# r²SCAN ReN2, optimized geometry
data_ReN2
_symmetry_space_group_name_H-M 'P 1 21/m 1'
_symmetry_Int_Tables_number 11
_cell_length_a 4.224
_cell_length_b 2.868
_cell_length_c 5.087
_cell_angle_alpha 90.00
_cell_angle_beta 112.96
_cell_angle_gamma 90.00
loop_
_symmetry_equiv_pos_as_xyz
'x,y,z'
'-x,-y,-z'
'-x,y+1/2,-z'
'x,-y+1/2,z'
loop_
_atom_site_label
_atom_site_fract_x
_atom_site_fract_y
_atom_site_fract_z
Re1 0.205 0.250 0.216
N1 0.156 0.250 0.796
N2 0.390 0.250 0.670
# - energy of formation from the pure elements (meV per atom) = 126



Record 8
# r²SCAN SmInCu, optimized geometry
data_SmInCu
_symmetry_space_group_name_H-M 'P -6 2 m'
_symmetry_Int_Tables_number 189
_symmetry_space_group_name_Hall 'P -6 -2'
_cell_length_a 7.5148
_cell_length_b 7.5148
_cell_length_c 4.0180
_cell_angle_alpha 90.00
_cell_angle_beta 90.00
_cell_angle_gamma 120.00
loop_
_atom_site_label
_atom_site_fract_x
_atom_site_fract_y
_atom_site_fract_z
Sm1 0.0000 0.5872 0.0000
In1 0.0000 0.2491 0.5000
Cu1 0.0000 0.0000 0.0000
Cu2 0.3333 0.6667 0.5000
# - energy of formation from the pure elements (meV per atom) = -482



Record 9
# r²SCAN YbSbPd, optimized geometry
data_YbSbPd
_symmetry_space_group_name_H-M 'F -4 3 m'
_symmetry_Int_Tables_number 216
_symmetry_space_group_name_Hall 'F -4 2 3'
_cell_length_a 6.490
_cell_length_b 6.490
_cell_length_c 6.490
_cell_angle_alpha 90.00
_cell_angle_beta 90.00
_cell_angle_gamma 90.00
loop_
_atom_site_label
_atom_site_fract_x
_atom_site_fract_y
_atom_site_fract_z
Yb1 0.000 0.000 0.000
Sb1 0.000 0.000 0.500
Pd1 0.250 0.250 0.750
# - energy of formation from the pure elements (meV per atom) = -1227



Record 10
# r²SCAN NiPt3, optimized geometry
data_NiPt3
_symmetry_space_group_name_H-M 'P m -3 m'
_symmetry_Int_Tables_number 221
_symmetry_space_group_name_Hall '-P 4 2 3'
_cell_length_a 3.855
_cell_length_b 3.855
_cell_length_c 3.855
_cell_angle_alpha 90.00
_cell_angle_beta 90.00
_cell_angle_gamma 90.00
loop_
_atom_site_label
_atom_site_fract_x
_atom_site_fract_y
_atom_site_fract_z
Ni1 0.000 0.000 0.000
Pt1 0.000 0.500 0.500
# - energy of formation from the pure elements (meV per atom) = -90



Record 11
# r²SCAN TcIr, optimized geometry
data_TcIr
_symmetry_space_group_name_H-M 'P -6 m 2'
_symmetry_Int_Tables_number 187
_symmetry_space_group_name_Hall 'P -6 2'
_cell_length_a 2.7399
_cell_length_b 2.7399
_cell_length_c 4.3555
_cell_angle_alpha 90.00
_cell_angle_beta 90.00
_cell_angle_gamma 120.00
loop_
_atom_site_label
_atom_site_fract_x
_atom_site_fract_y
_atom_site_fract_z
Tc1 0.0000 0.0000 0.0000
Ir1 0.3333 0.6667 0.5000
# - energy of formation from the pure elements (meV per atom) = -237



Record 12
# r²SCAN HoBrO, optimized geometry
data_HoBrO
_symmetry_space_group_name_H-M 'R -3 m'
_symmetry_Int_Tables_number 166
_symmetry_space_group_name_Hall '-R 3 2"'
_cell_length_a 3.8020
_cell_length_b 3.8020
_cell_length_c 29.9758
_cell_angle_alpha 90.00
_cell_angle_beta 90.00
_cell_angle_gamma 120.00
loop_
_atom_site_label
_atom_site_fract_x
_atom_site_fract_y
_atom_site_fract_z
Ho1 0.0000 0.0000 0.1198
Br1 0.0000 0.0000 0.3892
O1 0.0000 0.0000 0.1948
# - energy of formation from the pure elements (meV per atom) = -3262



Record 13
# r²SCAN Ti2Ga3, optimized geometry
data_Ti2Ga3
_symmetry_space_group_name_H-M 'P 4/m'
_symmetry_Int_Tables_number 83
_cell_length_a 6.243
_cell_length_b 6.243
_cell_length_c 3.976
_cell_angle_alpha 90.00
_cell_angle_beta 90.00
_cell_angle_gamma 90.00
loop_
_symmetry_equiv_pos_as_xyz
'x,y,z'
'-x,-y,-z'
'-y,x,z'
'y,-x,-z'
'-x,-y,z'
'x,y,-z'
'y,-x,z'
'-y,x,-z'
loop_
_atom_site_label
_atom_site_fract_x
_atom_site_fract_y
_atom_site_fract_z
Ti1 0.127 0.696 0.000
Ga1 0.000 0.000 0.500
Ga2 0.182 0.396 0.500
Ga3 0.500 0.500 0.000
# - energy of formation from the pure elements (meV per atom) = -505



Record 14
# r²SCAN Li2CrP2O7, optimized geometry
data_Li2CrP2O7
_symmetry_space_group_name_H-M 'C 1 2/c 1'
_symmetry_Int_Tables_number 15
_cell_length_a 15.337
_cell_length_b 4.932
_cell_length_c 8.762
_cell_angle_alpha 90.00
_cell_angle_beta 115.01
_cell_angle_gamma 90.00
loop_
_symmetry_equiv_pos_as_xyz
'x,y,z'
'-x,-y,-z'
'-x,y,-z+1/2'
'x,-y,z+1/2'
'x+1/2,y+1/2,z'
'-x+1/2,-y+1/2,-z'
'-x+1/2,y+1/2,-z+1/2'
'x+1/2,-y+1/2,z+1/2'
loop_
_atom_site_label
_atom_site_fract_x
_atom_site_fract_y
_atom_site_fract_z
Li1 0.190 0.143 0.052
Cr1 0.000 0.000 0.000
P1 0.103 0.368 0.315
O1 0.000 0.477 0.750
O2 0.101 0.155 0.439
O3 0.105 0.236 0.159
O4 0.179 0.420 0.890
# - energy of formation from the pure elements (meV per atom) = -2456



Record 15
# r²SCAN Ca2CdSn, optimized geometry
data_Ca2CdSn
_symmetry_space_group_name_H-M 'F m -3 m'
_symmetry_Int_Tables_number 225
_symmetry_space_group_name_Hall '-F 4 2 3'
_cell_length_a 7.651
_cell_length_b 7.651
_cell_length_c 7.651
_cell_angle_alpha 90.00
_cell_angle_beta 90.00
_cell_angle_gamma 90.00
loop_
_atom_site_label
_atom_site_fract_x
_atom_site_fract_y
_atom_site_fract_z
Ca1 0.250 0.250 0.250
Cd1 0.000 0.000 0.000
Sn1 0.000 0.000 0.500
# - energy of formation from the pure elements (meV per atom) = -610



Record 16
# r²SCAN In2Ni21P6, optimized geometry
data_In2Ni21P6
_symmetry_space_group_name_H-M 'F m -3 m'
_symmetry_Int_Tables_number 225
_symmetry_space_group_name_Hall '-F 4 2 3'
_cell_length_a 10.997
_cell_length_b 10.997
_cell_length_c 10.997
_cell_angle_alpha 90.00
_cell_angle_beta 90.00
_cell_angle_gamma 90.00
loop_
_atom_site_label
_atom_site_fract_x
_atom_site_fract_y
_atom_site_fract_z
In1 0.250 0.250 0.250
Ni1 0.000 0.000 0.000
Ni2 0.000 0.174 0.174
Ni3 0.115 0.115 0.385
P1 0.000 0.000 0.262
# - energy of formation from the pure elements (meV per atom) = -399



Record 17
# r²SCAN ErPd2Pb, optimized geometry
data_ErPd2Pb
_symmetry_space_group_name_H-M 'F m -3 m'
_symmetry_Int_Tables_number 225
_symmetry_space_group_name_Hall '-F 4 2 3'
_cell_length_a 6.798
_cell_length_b 6.798
_cell_length_c 6.798
_cell_angle_alpha 90.00
_cell_angle_beta 90.00
_cell_angle_gamma 90.00
loop_
_atom_site_label
_atom_site_fract_x
_atom_site_fract_y
_atom_site_fract_z
Er1 0.000 0.000 0.000
Pd1 0.250 0.250 0.250
Pb1 0.000 0.000 0.500
# - energy of formation from the pure elements (meV per atom) = -746



Record 18
# r²SCAN In2Rh3S2, optimized geometry
data_In2Rh3S2
_symmetry_space_group_name_H-M 'R -3 m'
_symmetry_Int_Tables_number 166
_symmetry_space_group_name_Hall '-R 3 2"'
_cell_length_a 5.6404
_cell_length_b 5.6404
_cell_length_c 13.6099
_cell_angle_alpha 90.00
_cell_angle_beta 90.00
_cell_angle_gamma 120.00
loop_
_atom_site_label
_atom_site_fract_x
_atom_site_fract_y
_atom_site_fract_z
In1 0.0000 0.0000 0.0000
In2 0.0000 0.0000 0.5000
Rh1 0.0000 0.5000 0.0000
S1 0.0000 0.0000 0.2151
# - energy of formation from the pure elements (meV per atom) = -611



Record 19
# r²SCAN Lu2CoIr, optimized geometry
data_Lu2CoIr
_symmetry_space_group_name_H-M 'F m -3 m'
_symmetry_Int_Tables_number 225
_symmetry_space_group_name_Hall '-F 4 2 3'
_cell_length_a 6.615
_cell_length_b 6.615
_cell_length_c 6.615
_cell_angle_alpha 90.00
_cell_angle_beta 90.00
_cell_angle_gamma 90.00
loop_
_atom_site_label
_atom_site_fract_x
_atom_site_fract_y
_atom_site_fract_z
Lu1 0.250 0.250 0.250
Co1 0.000 0.000 0.000
Ir1 0.000 0.000 0.500
# - energy of formation from the pure elements (meV per atom) = -742



Record 20
# r²SCAN SmYNi2, optimized geometry
data_SmYNi2
_symmetry_space_group_name_H-M 'A m m 2'
_symmetry_Int_Tables_number 38
_cell_length_a 4.222
_cell_length_b 3.769
_cell_length_c 10.252
_cell_angle_alpha 90.00
_cell_angle_beta 90.00
_cell_angle_gamma 90.00
loop_
_symmetry_equiv_pos_as_xyz
'x,y,z'
'-x,-y,z'
'-x,y,z'
'x,-y,z'
'x,y+1/2,z+1/2'
'-x,-y+1/2,z+1/2'
'-x,y+1/2,z+1/2'
'x,-y+1/2,z+1/2'
loop_
_atom_site_label
_atom_site_fract_x
_atom_site_fract_y
_atom_site_fract_z
Sm1 0.000 0.000 0.000
Y1 0.500 0.000 0.278
Ni1 0.000 0.000 0.711
Ni2 0.500 0.000 0.571
# - energy of formation from the pure elements (meV per atom) = -346



Record 21
# r²SCAN Nd2InGe2, optimized geometry
data_Nd2InGe2
_symmetry_space_group_name_H-M 'P 4/m b m'
_symmetry_Int_Tables_number 127
_symmetry_space_group_name_Hall '-P 4 2ab'
_cell_length_a 7.571
_cell_length_b 7.571
_cell_length_c 4.328
_cell_angle_alpha 90.00
_cell_angle_beta 90.00
_cell_angle_gamma 90.00
loop_
_atom_site_label
_atom_site_fract_x
_atom_site_fract_y
_atom_site_fract_z
Nd1 0.180 0.320 0.000
In1 0.000 0.000 0.500
Ge1 0.117 0.617 0.500
# - energy of formation from the pure elements (meV per atom) = -842